1.
Density functional theory data (r2SCAN) for crystalline Rb5Hg19 at its relaxed geometry.

abc: 9.989 9.989 9.989
angles: 107.28 107.28 113.95
Sites, in units of the cell vectors:
Rb 0.000 0.000 0.000
Rb 0.178 0.617 0.795
Rb 0.383 0.178 0.561
Rb 0.617 0.822 0.439
Rb 0.822 0.383 0.205
Hg 0.023 0.840 0.589
Hg 0.109 0.201 0.748
Hg 0.160 0.749 0.184
Hg 0.201 0.452 0.092
Hg 0.250 0.750 0.500
Hg 0.251 0.434 0.411
Hg 0.361 0.109 0.908
Hg 0.434 0.023 0.184
Hg 0.452 0.361 0.252
Hg 0.500 0.500 0.000
Hg 0.548 0.639 0.748
Hg 0.566 0.977 0.816
Hg 0.639 0.891 0.092
Hg 0.749 0.566 0.589
Hg 0.750 0.250 0.500
Hg 0.799 0.548 0.908
Hg 0.840 0.251 0.816
Hg 0.891 0.799 0.252
Hg 0.977 0.160 0.411

Values from the calculation:
SG ... I4/m, No. 87
Calculated density ... 9.215 g/cm³
Calculated formation energy ... -22 kJ/mol of atoms
E_tot ... -3.1027 Ry/atom

---

2.
Density functional theory data (r2SCAN) for crystalline GdAl10Ru2 at its relaxed geometry.

abc: 6.815 6.815 9.093
angles: 90.00 90.00 97.05
Sites, in units of the cell vectors:
Gd 0.126 0.874 0.750
Gd 0.874 0.126 0.250
Al 0.140 0.410 0.750
Al 0.158 0.842 0.101
Al 0.158 0.842 0.399
Al 0.219 0.481 0.250
Al 0.227 0.227 0.000
Al 0.227 0.227 0.500
Al 0.377 0.623 0.549
Al 0.377 0.623 0.951
Al 0.410 0.140 0.250
Al 0.481 0.219 0.750
Al 0.519 0.781 0.250
Al 0.590 0.860 0.750
Al 0.623 0.377 0.049
Al 0.623 0.377 0.451
Al 0.773 0.773 0.000
Al 0.773 0.773 0.500
Al 0.781 0.519 0.750
Al 0.842 0.158 0.601
Al 0.842 0.158 0.899
Al 0.860 0.590 0.250
Ru 0.000 0.500 0.000
Ru 0.000 0.500 0.500
Ru 0.500 0.000 0.000
Ru 0.500 0.000 0.500

Values from the calculation:
SG ... Cmcm, No. 63
Calculated density ... 4.985 g/cm³
Calculated formation energy ... -54 kJ/mol of atoms
E_tot ... -0.9549 Ry/atom

---

3.
Density functional theory data (r2SCAN) for crystalline Th2Al7 at its relaxed geometry.

abc: 5.853 11.452 5.537
angles: 90.00 90.00 90.00
Sites, in units of the cell vectors:
Th 0.144 0.147 0.000
Th 0.356 0.647 0.000
Th 0.644 0.353 0.000
Th 0.856 0.853 0.000
Al 0.000 0.000 0.500
Al 0.096 0.750 0.500
Al 0.148 0.409 0.238
Al 0.148 0.409 0.762
Al 0.352 0.909 0.238
Al 0.352 0.909 0.762
Al 0.404 0.250 0.500
Al 0.500 0.500 0.500
Al 0.596 0.750 0.500
Al 0.648 0.091 0.238
Al 0.648 0.091 0.762
Al 0.852 0.591 0.238
Al 0.852 0.591 0.762
Al 0.904 0.250 0.500

Values from the calculation:
SG ... Pbam, No. 55
Calculated density ... 5.842 g/cm³
Calculated formation energy ... -35 kJ/mol of atoms
E_tot ... -1.6119 Ry/atom